Record 1
# Ba2ZnSb2 (PBE, optimized geometry)
# DFT total energy = -3.545 eV/atom
# Total energy after the MP2020 corrections = -3.6218 eV per atom
# E_form = -0.951 eV/atom
data_Ba2ZnSb2
_space_group_name_H-M_alt 'I b a m'
_space_group_IT_number 72
_space_group_name_Hall '-I 2 2c'
_cell_length_a 7.2714
_cell_length_b 14.2505
_cell_length_c 7.0607
_cell_angle_alpha 90.00
_cell_angle_beta 90.00
_cell_angle_gamma 90.00
loop_
_atom_site_label
_atom_site_type_symbol
_atom_site_fract_x
_atom_site_fract_y
_atom_site_fract_z
_atom_site_occupancy
Ba1 Ba 0.2038 0.1365 0.0000 1
Zn1 Zn 0.0000 0.5000 0.2500 1
Sb1 Sb 0.2061 0.3893 0.0000 1


Record 2
# BaZn2Sb2 (PBE, optimized geometry)
# DFT total energy = -2.861 eV/atom
# Total energy after the MP2020 corrections = -2.9375 eV per atom
# Magnetization = 0.00 μB/f.u.
# E_form = -0.398 eV/atom
data_BaZn2Sb2
_space_group_name_H-M_alt 'I 4 m m'
_space_group_IT_number 107
_space_group_name_Hall 'I 4 -2'
_cell_length_a 4.6995
_cell_length_b 4.6995
_cell_length_c 21.0648
_cell_angle_alpha 90.00
_cell_angle_beta 90.00
_cell_angle_gamma 90.00
loop_
_atom_site_label
_atom_site_type_symbol
_atom_site_fract_x
_atom_site_fract_y
_atom_site_fract_z
_atom_site_occupancy
Ba1 Ba 0.0000 0.0000 0.0000 1
Zn1 Zn 0.0000 0.5000 0.3757 1
Sb1 Sb 0.0000 0.0000 0.4623 1
Sb2 Sb 0.0000 0.0000 0.8112 1


Record 3
# BaZn2Sb2 (PBE, optimized geometry)
# DFT total energy = -3.071 eV/atom
# Total energy after the MP2020 corrections = -3.1481 eV per atom
# E_form = -0.609 eV/atom
data_BaZn2Sb2
_space_group_name_H-M_alt 'P n m a'
_space_group_IT_number 62
_cell_length_a 10.7103
_cell_length_b 4.5602
_cell_length_c 11.7665
_cell_angle_alpha 90.00
_cell_angle_beta 90.00
_cell_angle_gamma 90.00
loop_
_space_group_symop_operation_xyz
'x,y,z'
'-x,-y,-z'
'-x+1/2,-y,z+1/2'
'x+1/2,y,-z+1/2'
'x+1/2,-y+1/2,-z+1/2'
'-x+1/2,y+1/2,z+1/2'
'-x,y+1/2,-z'
'x,-y+1/2,z'
loop_
_atom_site_label
_atom_site_type_symbol
_atom_site_fract_x
_atom_site_fract_y
_atom_site_fract_z
_atom_site_occupancy
Ba1 Ba 0.2471 0.2500 0.1799 1
Zn1 Zn 0.0542 0.2500 0.8800 1
Zn2 Zn 0.0972 0.2500 0.4526 1
Sb1 Sb 0.0256 0.7500 0.3378 1
Sb2 Sb 0.1502 0.7500 0.9652 1


Record 4
# Ba3Sc4 (PBE, optimized geometry)
# DFT total energy = -4.030 eV/atom
# Magnetization = 0.22 μB/f.u.
# E_form = 0.411 eV/atom
data_Ba3Sc4
_space_group_name_H-M_alt 'R -3 m'
_space_group_IT_number 166
_space_group_name_Hall '-R 3 2"'
_cell_length_a 5.9374
_cell_length_b 5.9374
_cell_length_c 24.8485
_cell_angle_alpha 90.00
_cell_angle_beta 90.00
_cell_angle_gamma 120.00
loop_
_atom_site_label
_atom_site_type_symbol
_atom_site_fract_x
_atom_site_fract_y
_atom_site_fract_z
_atom_site_occupancy
Ba1 Ba 0.0000 0.0000 0.0000 1
Ba2 Ba 0.0000 0.0000 0.4247 1
Sc1 Sc 0.0000 0.0000 0.1538 1
Sc2 Sc 0.0000 0.0000 0.2798 1


Record 5
# BaSc2Te4 (PBE, optimized geometry)
# DFT total energy = -5.281 eV/atom
# Total energy after the MP2020 corrections = -5.5218 eV per atom
# E_form = -1.642 eV/atom
data_BaSc2Te4
_space_group_name_H-M_alt 'P n m a'
_space_group_IT_number 62
_cell_length_a 13.4687
_cell_length_b 4.3216
_cell_length_c 15.7095
_cell_angle_alpha 90.00
_cell_angle_beta 90.00
_cell_angle_gamma 90.00
loop_
_space_group_symop_operation_xyz
'x,y,z'
'-x,-y,-z'
'-x+1/2,-y,z+1/2'
'x+1/2,y,-z+1/2'
'x+1/2,-y+1/2,-z+1/2'
'-x+1/2,y+1/2,z+1/2'
'-x,y+1/2,-z'
'x,-y+1/2,z'
loop_
_atom_site_label
_atom_site_type_symbol
_atom_site_fract_x
_atom_site_fract_y
_atom_site_fract_z
_atom_site_occupancy
Ba1 Ba 0.2378 0.2500 0.1718 1
Sc1 Sc 0.0564 0.2500 0.3900 1
Sc2 Sc 0.0801 0.2500 0.9035 1
Te1 Te 0.0283 0.7500 0.7848 1
Te2 Te 0.0869 0.2500 0.5736 1
Te3 Te 0.1215 0.7500 0.0259 1
Te4 Te 0.2032 0.7500 0.3506 1


Record 6
# BaYSc (PBE, optimized geometry)
# DFT total energy = -4.080 eV/atom
# Magnetization = 1.01 μB/f.u.
# E_form = 0.826 eV/atom
data_BaYSc
_space_group_name_H-M_alt 'F -4 3 m'
_space_group_IT_number 216
_space_group_name_Hall 'F -4 2 3'
_cell_length_a 8.0169
_cell_length_b 8.0169
_cell_length_c 8.0169
_cell_angle_alpha 90.00
_cell_angle_beta 90.00
_cell_angle_gamma 90.00
loop_
_atom_site_label
_atom_site_type_symbol
_atom_site_fract_x
_atom_site_fract_y
_atom_site_fract_z
_atom_site_occupancy
Ba1 Ba 0.0000 0.0000 0.0000 1
Y1 Y 0.0000 0.0000 0.5000 1
Sc1 Sc 0.2500 0.2500 0.7500 1